# 1
Here is a geometry-optimized Ho4MgS7 structure from the Materials Project. Energies are from GGA-PBE.

Calculated values
Space-group type: No. 8
E (MP2020), eV/atom: -6.31
Size of the total moment, μB per cell: 0.0
E_tot, eV per atom: -6.0158

Unit cell a=6.5664 b=6.5664 c=11.4562 alpha=75.76 beta=75.76 gamma=33.58
Positions (direct):
1 S 0.4951 0.4951 0.4982
2 S 0.2665 0.2665 0.3526
3 Ho 0.9997 0.9997 0.0052
4 S 0.0361 0.0361 0.2234
5 S 0.7432 0.7432 0.6411
6 Ho 0.6929 0.6929 0.2036
7 Ho 0.3066 0.3066 0.8021
8 Ho 0.1137 0.1137 0.5681
9 Mg 0.8856 0.8856 0.4216
10 S 0.6596 0.6596 0.9486
11 S 0.9620 0.9620 0.7849
12 S 0.3390 0.3390 0.0505

---

# 2
Here is a geometry-optimized KPr6OsI10 structure from the Materials Project. Energies are from GGA-PBE.

Calculated values
Space-group type: No. 62
E (MP2020), eV/atom: -4.57
Size of the total moment, μB per cell: 3.7
E_tot, eV per atom: -4.3602

Unit cell a=13.8600 b=14.3349 c=15.8289 alpha=90.00 beta=90.00 gamma=90.00
Positions (direct):
1 I 0.0856 0.9970 0.8783
2 I 0.9144 0.0030 0.1217
3 K 0.7500 0.0146 0.9410
4 I 0.5892 0.7362 0.2875
5 Pr 0.8936 0.6193 0.9419
6 I 0.9108 0.7362 0.2875
7 I 0.9171 0.5029 0.1229
8 Pr 0.3922 0.6157 0.2032
9 Pr 0.8922 0.3843 0.7968
10 I 0.2500 0.7251 0.7808
11 K 0.2500 0.5146 0.5590
12 Pr 0.6078 0.3843 0.7968
13 I 0.9108 0.7638 0.7875
14 I 0.4232 0.7508 0.0383
15 I 0.9232 0.2492 0.9617
16 I 0.5856 0.4970 0.6217
17 Pr 0.6064 0.6193 0.9419
18 Pr 0.7500 0.8884 0.2240
19 Pr 0.7500 0.1126 0.5150
20 Pr 0.1078 0.6157 0.2032
21 Pr 0.2500 0.1116 0.7760
22 I 0.5829 0.5029 0.1229
23 I 0.7500 0.2251 0.7192
24 I 0.4171 0.0029 0.3771
25 I 0.9144 0.4970 0.6217
26 I 0.4108 0.2638 0.7125
27 I 0.4108 0.2362 0.2125
28 I 0.9171 0.9971 0.6229
29 I 0.5768 0.2508 0.4617
30 Os 0.2500 0.4988 0.1288
31 I 0.2500 0.2320 0.9680
32 Pr 0.1064 0.3807 0.0581
33 I 0.0829 0.4971 0.8771
34 I 0.7500 0.7680 0.0320
35 I 0.4232 0.7492 0.5383
36 I 0.5768 0.2492 0.9617
37 I 0.4171 0.4971 0.8771
38 I 0.7500 0.7320 0.5320
39 I 0.9232 0.2508 0.4617
40 K 0.2500 0.9854 0.0590
41 I 0.0892 0.2362 0.2125
42 Pr 0.3936 0.3807 0.0581
43 I 0.5892 0.7638 0.7875
44 Pr 0.1078 0.8843 0.7032
45 Pr 0.3922 0.8843 0.7032
46 Os 0.7500 0.5012 0.8712
47 Os 0.7500 0.9988 0.3712
48 I 0.0768 0.7508 0.0383
49 Pr 0.2500 0.3884 0.2760
50 Pr 0.2500 0.6126 0.9850
51 I 0.0829 0.0029 0.3771
52 I 0.5829 0.9971 0.6229
53 I 0.2500 0.7749 0.2808
54 Pr 0.2500 0.8874 0.4850
55 I 0.2500 0.2680 0.4680
56 Pr 0.8936 0.8807 0.4419
57 Pr 0.6064 0.8807 0.4419
58 Pr 0.3936 0.1193 0.5581
59 K 0.7500 0.4854 0.4410
60 I 0.7500 0.2749 0.2192
61 I 0.4144 0.5030 0.3783
62 Os 0.2500 0.0012 0.6288
63 Pr 0.8922 0.1157 0.2968
64 I 0.0892 0.2638 0.7125
65 I 0.0856 0.5030 0.3783
66 I 0.4144 0.9970 0.8783
67 Pr 0.7500 0.6116 0.7240
68 Pr 0.6078 0.1157 0.2968
69 Pr 0.1064 0.1193 0.5581
70 I 0.5856 0.0030 0.1217
71 Pr 0.7500 0.3874 0.0150
72 I 0.0768 0.7492 0.5383

---

# 3
Here is a geometry-optimized TiN structure from the Materials Project. Energies are from GGA-PBE.

Calculated values
Space-group type: No. 221
E (MP2020), eV/atom: -9.12
Size of the total moment, μB per cell: 0.1
E_tot, eV per atom: -8.9422

Unit cell a=2.6393 b=2.6393 c=2.6393 alpha=90.00 beta=90.00 gamma=90.00
Positions (direct):
1 Ti 0.0000 0.0000 0.0000
2 N 0.5000 0.5000 0.5000

---

# 4
Here is a geometry-optimized CuGeN2 structure from the Materials Project. Energies are from GGA-PBE.

Calculated values
Space-group type: No. 63
E (MP2020), eV/atom: -5.81
Size of the total moment, μB per cell: 0.0
E_tot, eV per atom: -5.6294

Unit cell a=3.0035 b=5.2976 c=10.8035 alpha=90.00 beta=90.00 gamma=28.13
Positions (direct):
1 Cu 0.0000 0.0000 0.0000
2 N 0.0000 0.4652 0.6370
3 Cu 0.0000 0.0000 0.5000
4 Ge 0.0000 0.7741 0.7500
5 Ge 0.0000 0.2259 0.2500
6 N 0.0000 0.4652 0.8630
7 N 0.0000 0.5348 0.3630
8 N 0.0000 0.5348 0.1370

---

# 5
Here is a geometry-optimized ZrPbO3 structure from the Materials Project. Energies are from GGA-PBE.

Calculated values
Space-group type: No. 32
E (MP2020), eV/atom: -8.27
Size of the total moment, μB per cell: 0.0
E_tot, eV per atom: -7.8544

Unit cell a=6.0423 b=8.3861 c=11.9561 alpha=90.00 beta=90.00 gamma=90.00
Positions (direct):
1 O 0.5000 0.7929 0.0000
2 Pb 0.3077 0.4893 0.8578
3 Pb 0.8093 0.9886 0.6369
4 Pb 0.1907 0.9886 0.3631
5 O 0.4535 0.7516 0.7645
6 Zr 0.2409 0.2522 0.1195
7 O 0.7898 0.5085 0.3759
8 Pb 0.6923 0.4893 0.1422
9 O 0.2836 0.0075 0.1495
10 Pb 0.6907 0.9886 0.1369
11 O 0.2164 0.0075 0.6495
12 Zr 0.7586 0.7542 0.8802
13 Zr 0.7409 0.2522 0.3805
14 Pb 0.3093 0.9886 0.8631
15 O 0.9666 0.2753 0.7406
16 O 0.5000 0.2498 0.0000
17 O 0.5334 0.2753 0.2406
18 O 0.0334 0.2753 0.2594
19 O 0.7164 0.0075 0.8505
20 O 0.9535 0.7516 0.7355
21 Zr 0.2591 0.2522 0.6195
22 O 0.5000 0.7736 0.5000
23 Pb 0.8077 0.4893 0.6422
24 O 0.7836 0.0075 0.3505
25 O 0.2102 0.5085 0.6241
26 Pb 0.1923 0.4893 0.3578
27 Zr 0.2586 0.7542 0.6198
28 O 0.4666 0.2753 0.7594
29 O 0.2898 0.5085 0.1241
30 O 0.5465 0.7516 0.2355
31 O 0.0000 0.7736 0.0000
32 O 0.0465 0.7516 0.2645
33 O 0.0000 0.2493 0.0000
34 Zr 0.7591 0.2522 0.8805
35 Zr 0.2414 0.7542 0.1198
36 O 0.5000 0.2493 0.5000
37 O 0.7102 0.5085 0.8759
38 O 0.0000 0.7929 0.5000
39 O 0.0000 0.2498 0.5000
40 Zr 0.7414 0.7542 0.3802

---

# 6
Here is a geometry-optimized CaCO3 structure from the Materials Project. Energies are from GGA-PBE.

Calculated values
Space-group type: No. 62
E (MP2020), eV/atom: -7.88
E_tot, eV per atom: -7.4671

Unit cell a=5.0161 b=5.8121 c=8.0348 alpha=90.00 beta=90.00 gamma=90.00
Positions (direct):
1 O 0.7500 0.5927 0.0772
2 C 0.2500 0.4165 0.7622
3 O 0.0261 0.9138 0.8196
4 C 0.2500 0.9165 0.7378
5 O 0.9739 0.0862 0.1804
6 Ca 0.2500 0.7594 0.0851
7 Ca 0.7500 0.2406 0.9149
8 O 0.2500 0.4073 0.9228
9 O 0.4739 0.9138 0.8196
10 O 0.7500 0.0927 0.4228
11 Ca 0.2500 0.2594 0.4149
12 C 0.7500 0.0835 0.2622
13 C 0.7500 0.5835 0.2378
14 O 0.2500 0.9073 0.5772
15 O 0.9739 0.5862 0.3196
16 O 0.0261 0.4138 0.6804
17 O 0.5261 0.0862 0.1804
18 Ca 0.7500 0.7406 0.5851
19 O 0.5261 0.5862 0.3196
20 O 0.4739 0.4138 0.6804